1.
Density functional theory data (GGA-PBE) for crystalline H18RuC6S3Cl3 at its relaxed geometry.

Geometry as extended XYZ:
```
124
Lattice="-1.4901 0.1692 8.8490 6.1887 -8.8590 1.2116 13.7929 9.9272 2.1327" Properties=species:S:1:pos:R:3 pbc="T T T"
H 6.6164 -3.8550 7.7717
H 11.9728 0.5905 8.4017
H 15.3867 -1.5211 7.0638
H 8.7272 -1.3987 1.5835
H 11.4384 5.7176 4.3360
H 11.8224 7.0656 5.4675
H 3.8109 -4.6687 4.5237
H 10.2334 -4.7622 8.2561
H 8.7301 0.2174 2.3745
H 13.5200 7.1867 8.0544
H 13.8510 3.4631 10.1173
H 6.0954 -1.5223 5.7150
H 14.3105 3.9071 5.2336
H 4.9926 -5.9794 4.1430
H 9.9862 8.0183 10.0387
H 12.0631 2.2358 5.9474
H 9.2000 -6.5653 1.7826
H 12.2821 3.5219 10.9961
H 6.3250 2.2570 8.7614
H 5.2183 3.8704 5.6896
H 4.2968 -2.9992 2.6711
H 5.7177 -2.7904 1.6088
H 17.0036 0.2157 10.0720
H 1.3850 -1.5709 0.6568
H 10.4326 -2.3093 8.1259
H 14.3805 8.0691 6.7441
H 12.5468 7.0394 3.8235
H 10.6918 1.0623 5.9983
H 17.1646 2.6729 10.1690
H 2.4017 0.9792 1.6377
H 6.1753 -0.1396 6.8735
H 15.1790 5.2318 6.0989
H 3.6407 2.9922 5.7001
H 5.3761 3.7353 9.1781
H 3.7051 -6.2505 5.3697
H 5.9730 -7.8027 6.6151
H 16.4494 3.7491 11.4078
H 5.3633 2.0524 1.8036
H 11.4788 8.9062 10.5324
H 4.6216 0.7450 2.7963
H 4.0362 -7.2636 9.7187
H 8.9630 5.9808 4.6945
H 11.8338 1.0381 10.1363
H 14.9071 3.6463 6.9049
H 8.1798 1.7544 5.6924
H 7.9014 6.5718 8.6550
H 5.5095 2.0918 3.5940
H 4.9354 -4.3571 8.1722
H 11.2039 0.2385 2.6410
H 12.7455 4.8610 9.8770
H 11.0671 1.9788 4.4871
H 14.2234 -1.3528 5.6931
H 8.2046 3.0237 1.3984
H 7.6653 3.4626 5.3825
H 8.7059 2.6207 4.1940
H 1.4525 0.6430 4.8710
H 4.4313 -3.9735 1.1555
H 7.6179 -1.0796 2.9564
H 11.6112 -2.3771 6.7552
H 5.3747 -3.9752 6.4723
H 12.4219 -2.7883 10.3396
H 7.2897 -1.5385 7.0605
H 9.8809 -1.2051 10.7154
H 15.7549 6.6409 2.7289
H 12.1876 -1.0497 3.4360
H 7.6325 5.6879 10.1924
H 10.1692 -1.2845 6.6821
H 13.4332 1.1176 9.3115
H 12.7691 8.6425 7.2954
H 1.2088 1.5850 6.3778
H 7.6531 -6.3535 2.6896
H 1.9739 -2.3616 2.1509
C 13.7076 8.1668 7.6043
C 5.5560 -3.7286 7.5263
C 11.0533 2.0104 5.5800
C 8.6544 -6.7965 2.7047
C 11.3072 -0.8383 2.8207
C 2.0954 -2.3009 1.0650
C 12.3516 1.2464 9.1913
C 10.3475 -4.9374 7.1828
C 16.9279 2.7773 11.2324
C 4.6418 -3.0083 1.6335
C 15.1023 4.1490 5.9484
C 6.2884 -1.2219 6.7512
C 4.8679 1.8119 2.7529
C 16.7590 0.0812 11.1293
C 15.1716 -1.7899 6.0232
C 7.2970 5.8087 9.1539
C 8.4655 2.7224 5.2569
C 8.6017 -0.8595 2.5317
C 12.8056 3.7847 10.0697
C 3.9605 -5.7507 4.4278
C 10.5577 -2.2461 7.0404
C 6.3610 3.2544 9.2113
C 11.6635 6.7869 4.4179
C 0.7963 0.8002 5.7372
Cl 2.1288 -3.7516 7.2149
Cl 14.4122 1.2248 4.4021
Cl 8.5958 -3.7755 10.4730
Cl 3.5548 0.7635 7.6885
Cl 10.5420 5.7167 8.2161
Cl 7.4250 -3.7285 3.8745
Cl 19.0411 1.1549 5.5027
Cl 9.0113 1.2136 8.3642
Cl 16.1883 1.1091 7.4061
Cl 12.1587 -3.8103 4.3534
Cl 3.4175 -1.4667 5.0053
Cl 11.0100 3.4178 1.9384
S 7.4858 4.2676 8.2278
S 5.1310 -2.0138 7.8889
S 16.6707 3.6007 5.2356
S 0.6619 -0.7042 6.7307
S 15.7348 1.4785 11.6282
S 10.2691 7.6766 3.6992
S 9.8467 -1.3711 3.7386
S 12.0795 2.9439 8.6461
S 9.5518 -3.5661 6.3245
S 3.3206 2.7189 2.9419
S 3.7701 -1.6916 0.7635
S 9.9530 3.3530 6.0672
Ru 9.7447 3.4862 8.4442
Ru 16.6856 1.2044 5.1050
Ru 9.8031 -3.7608 3.9559
Ru 2.8622 -1.4789 7.2950
```

Values from the calculation:
E_form: -34.2 kJ/mol of atoms
SG: Pna2_1


2.
Density functional theory data (GGA-PBE) for crystalline SnSb2H24C8S2Cl2 at its relaxed geometry.

Geometry as extended XYZ:
```
78
Lattice="10.2939 0.0000 0.0000 0.0000 9.4843 0.0000 0.0000 7.8368 10.4364" Properties=species:S:1:pos:R:3 pbc="T T T"
H 8.2622 8.9663 6.8403
H 4.6146 7.9120 8.2943
H 2.0317 8.3548 3.5961
H 4.2524 15.7619 10.0103
H 9.4239 7.0383 4.7588
H 4.9620 14.2904 9.2240
H 6.6998 9.8302 6.5614
H 0.8700 10.2827 5.6776
H 4.7450 10.7342 5.0271
H 3.2429 11.6041 4.5440
H 5.6806 5.8442 7.0528
H 0.4019 14.6525 10.2453
H 8.2141 12.7251 8.0748
H 7.0510 5.7169 5.8924
H 6.0415 1.5591 0.4260
H 3.1153 12.2732 8.8143
H 4.6133 11.4768 3.3836
H 2.0799 4.5959 2.3616
H 5.3320 3.0307 1.2123
H 7.8752 12.9841 10.3909
H 1.9041 15.5225 9.7622
H 0.1850 10.3720 4.0059
H 9.7603 1.9258 1.8346
H 9.8920 2.6685 0.1911
H 10.1089 6.9490 6.4305
H 0.5510 5.5603 2.1879
H 6.0170 10.9567 9.9769
H 9.3994 5.4775 5.6442
H 2.4188 4.3369 0.0455
H 5.6794 9.4090 2.1420
H 5.6980 7.8423 3.0303
H 9.7616 13.3274 7.3602
H 7.5658 9.0657 5.1727
H 3.5941 7.4908 3.8750
H 3.0671 8.5143 7.5798
H 5.5489 6.5869 5.4093
H 1.5529 11.4092 9.0932
H 7.2268 8.8067 2.8566
H 4.2770 6.3643 0.4594
H 2.7282 8.2553 5.2636
H 8.3899 1.7985 0.6742
H 8.7411 5.9119 1.3432
H 0.5336 15.3952 8.6018
H 0.5324 3.9937 3.0761
H 7.1787 5.0479 1.6221
H 4.5959 9.4787 7.4061
H 9.7429 11.7607 8.2485
H 0.8946 11.8436 4.7921
C 7.6751 9.5696 6.1388
C 2.6188 7.7514 4.2976
C 9.1667 12.4449 7.6138
C 4.8033 14.8292 10.1676
C 6.2743 8.5265 2.3956
C 4.0197 8.7945 8.0408
C 5.9627 5.7628 5.9977
C 9.9503 6.4102 5.4870
C 9.4783 1.8444 0.7795
C 0.8157 15.4766 9.6569
C 2.5282 11.6698 9.5158
C 5.4907 2.4918 0.2688
C 4.3313 11.5582 4.4387
C 7.7658 5.6512 0.9206
C 1.1273 4.8761 2.8226
C 0.3437 10.9108 4.9494
Sb 8.7292 11.4023 5.7874
Sb 6.7117 7.4840 0.5692
Sb 3.5822 9.8371 9.8672
Sb 1.5647 5.9187 4.6490
Cl 0.4682 9.0285 8.1265
Cl 4.6788 5.1101 2.9083
Cl 5.6152 12.2109 7.5281
Cl 9.8258 8.2925 2.3099
S 7.7823 7.1693 9.4162
S 7.6586 3.2510 4.1980
S 2.6354 14.0701 6.2384
S 2.5116 10.1517 1.0202
Sn 0.0000 0.0000 0.0000
Sn 5.1470 3.9184 5.2182
```

Values from the calculation:
E_form: -21.6 kJ/mol of atoms
SG: P2_1/c


3.
Density functional theory data (GGA-PBE) for crystalline Si4SbH38C14Cl at its relaxed geometry.

Geometry as extended XYZ:
```
232
Lattice="12.4568 0.0000 0.0000 0.0000 13.2231 0.0000 -6.7955 0.0000 17.2964" Properties=species:S:1:pos:R:3 pbc="T T T"
C 6.3712 4.4821 8.9714
C 2.7996 2.3097 12.3422
C 0.3657 2.1665 14.0667
C 3.3870 3.7409 2.3872
C 4.8255 4.0211 16.1734
C 5.6721 10.3524 6.2610
C 5.2919 4.7493 0.0753
C -1.0758 11.6024 7.2991
C 0.8528 13.2114 11.9648
C -2.5619 10.6327 9.7713
C 7.1431 4.1947 12.7282
C 8.0668 8.2890 4.2238
C 6.7371 1.6207 9.9973
C 0.0456 2.9218 1.6553
C -2.4055 4.9341 13.0727
C 8.2232 2.5904 7.5252
C -3.6171 2.7003 16.7220
C 3.5512 8.4531 7.5422
C 3.7671 11.3608 8.5729
C 1.8942 1.8623 8.7235
C 4.8085 0.0117 5.3316
C -0.0108 2.8707 11.0355
C 0.1534 11.3816 16.1904
C 2.2743 9.4822 14.9092
C 5.5079 1.8415 1.1061
C 5.6157 10.3013 15.6411
C -4.8796 10.8062 13.2164
C -1.4818 9.0284 4.5682
C 0.8358 9.2020 1.1230
C 9.0134 9.5333 6.9929
C 2.1101 4.7700 9.7543
C 1.8978 8.7780 11.8779
C -4.4736 8.2323 15.9473
C 6.1974 4.3019 3.6940
C -4.0637 6.5573 11.1904
C -0.2194 3.9113 8.0738
C 1.4107 6.5998 13.9798
C -0.6659 0.0542 2.5421
C 4.6690 11.5456 12.8720
C 9.7690 2.1294 0.3232
C 3.7635 4.4451 5.4185
C -4.1077 11.0937 16.9733
C -3.3521 3.6898 10.3035
C 9.2784 10.5228 0.5744
C 5.2955 11.0566 3.2297
C -0.5361 8.9212 13.6024
C 10.5409 2.4169 4.0800
C 9.7250 6.6658 6.1061
C 6.3272 13.1689 14.7543
C 10.1349 4.9908 1.3491
C -0.7100 8.7410 8.3251
C 0.9923 1.6775 4.4244
C 4.2506 6.6233 3.3166
C 0.3694 8.4738 17.2211
C 2.8616 10.9134 4.9542
C 5.8807 9.3118 9.2226
Cl -2.7645 1.1604 12.5927
Cl 0.6333 5.4511 3.9445
Cl 5.0280 7.7720 13.3520
Cl 8.4257 12.0627 4.7037
Sb 4.2178 8.5813 15.4957
Sb 7.6155 11.2534 6.8475
Sb 1.4435 4.6419 1.8007
Sb -1.9542 1.9697 10.4490
H 2.9416 8.4739 11.7392
H 2.4896 10.4427 14.4115
H -3.2225 6.8875 10.5640
H 6.7260 4.5283 2.7600
H -3.0186 2.4962 15.8214
H 3.1717 2.7804 2.8849
H -1.0243 8.3485 12.7979
H 4.9424 0.9420 1.3874
H 6.6856 4.8746 4.4986
H 2.7238 9.8490 4.7262
H 0.8619 6.0397 13.2084
H -4.0407 8.4703 14.9673
H 4.7994 7.1834 4.0881
H 2.2405 11.9373 0.2193
H -3.6793 11.4750 16.0383
H 8.8920 1.7186 7.5516
H 9.7904 11.4563 0.3000
H 10.7955 10.0239 4.1387
H -0.9783 3.1673 7.7903
H 2.3735 11.4861 4.1496
H 7.8433 7.6462 0.1772
H 6.2538 4.1442 12.0869
H -0.1907 12.8682 11.9884
H 3.0138 8.2221 8.4743
H 1.8856 1.2028 3.9999
H 7.1734 7.8143 4.6483
H 2.3330 11.1399 5.8883
H -4.1291 1.7668 16.9964
H 9.7020 4.7528 2.3291
H 6.3352 3.2374 3.9221
H 6.0618 5.1351 0.7549
H 8.4570 8.8533 7.6680
H -0.5891 11.1836 15.4074
H -0.2622 11.9192 7.9695
H -0.6781 1.8624 14.2055
H 3.7757 12.0203 13.2965
H -1.0076 4.4375 16.4401
H 3.4208 1.2858 17.0772
H 2.3902 2.1741 7.7919
H -3.6599 7.9155 16.6177
H 2.1484 2.5223 17.0056
H 4.3718 0.2736 6.3059
H 6.6689 8.7856 0.8563
H 2.9375 3.3741 12.5703
H 5.8520 0.3549 5.3080
H 3.2711 11.0490 9.5046
H 5.4942 4.8930 16.1998
H 8.8837 6.3357 6.7325
H 1.4016 12.6512 12.7363
H 4.3918 10.5752 12.4425
H 2.8526 4.5720 10.5372
H 3.8640 3.3834 5.6815
H -0.2815 8.3596 7.3901
H 6.0452 1.6105 0.1739
H 1.7086 8.9267 1.7332
H -3.2307 11.5045 9.7449
H -0.5925 9.0789 5.2095
H 1.2895 12.9495 10.9906
H 2.6475 5.0010 8.8222
H -0.6739 9.9857 13.3744
H 7.4129 0.7631 10.1253
H 9.6515 2.4673 3.4387
H 2.4543 6.2566 13.9563
H 10.8107 5.8484 1.4771
H 0.4663 3.2282 14.3297
H 3.3282 2.0832 11.4082
H -5.1494 7.3747 15.8194
H 0.3138 10.0210 1.6373
H 3.2878 1.7370 13.1468
H -2.7957 4.3698 9.6285
H 6.9118 4.8870 13.5522
H 5.0334 12.1941 12.0573
H -0.6430 11.3643 6.3191
H 7.4682 6.6818 10.6136
H -0.4006 8.0880 16.5415
H 4.4455 12.1884 8.8255
H 5.9235 1.3039 9.3269
H 4.6872 6.8852 2.3424
H 5.0592 10.9813 16.3162
H -3.9903 10.7558 13.8577
H 0.3792 4.1153 7.1732
H 10.3096 1.7245 4.9040
H 0.1671 8.3301 1.0967
H 6.3393 11.3607 3.0910
H 7.3978 9.8108 12.7869
H -1.7365 3.4123 4.5096
H 6.3927 8.3783 8.9482
H 5.2821 9.1078 10.1233
H 4.1166 7.5535 7.2609
H 3.2070 6.9665 3.3402
H -0.2260 3.8312 11.5331
H 0.9740 6.3379 14.9541
H 1.2695 2.6479 4.8539
H -2.7699 5.5826 13.8874
H 4.6692 11.6366 2.5337
H 0.1753 12.9472 1.9158
H 8.7452 3.4094 7.0109
H 7.7895 9.2594 3.7943
H 1.2715 8.1981 11.1819
H -5.2046 0.0702 15.3310
H 9.3212 5.3076 0.6787
H -4.1193 7.2391 12.0532
H 0.9920 1.5865 14.7627
H -2.1820 5.5769 17.1192
H 9.3406 1.7481 1.2581
H 7.3504 2.3151 6.9150
H 9.7806 5.9840 5.2432
H -0.3839 11.6126 17.1225
H 0.1151 9.1338 8.9390
H 2.7197 4.7492 5.5573
H -0.7215 12.5955 3.4050
H 1.2158 1.0347 8.4710
H 0.7188 12.2811 15.9091
H 10.0373 9.7788 0.8579
H 6.3828 0.6276 13.8914
H -3.0839 9.8137 10.2855
H -4.3761 3.4443 16.4385
H -1.0647 8.6948 14.5365
H 3.9526 4.2964 15.5633
H 2.8087 8.6511 6.7592
H -1.8069 6.5413 6.6828
H 8.6799 10.7269 1.4750
H -1.6891 10.9080 10.3814
H -1.5121 5.4088 12.6481
H 6.6396 10.0558 9.5061
H 6.2504 2.0395 1.8890
H 5.3475 3.2021 15.6592
H 1.5447 5.6696 10.0356
H 5.5462 4.0893 8.3574
H -2.1282 3.9637 13.5021
H -1.7516 12.4600 7.1711
H 5.1950 9.9949 2.9667
H 6.8185 5.3258 8.4290
H -0.7314 4.8448 8.3482
H 5.8873 9.3919 5.7633
H 4.2597 0.5719 4.5601
H -5.1342 3.1992 13.1578
H 0.6021 2.2418 0.9802
H 2.9972 11.7467 7.8933
H -4.6483 11.4986 12.3924
H 6.3043 1.8588 10.9774
H 4.3898 5.0250 6.1145
H 2.6641 1.4764 9.4031
H 5.4860 0.2759 15.3807
H -1.2505 8.3361 3.7442
H 8.4312 7.6405 3.4091
H 10.8659 13.1529 1.9654
H 1.7973 9.8397 11.6149
H -1.1573 7.8973 8.8675
H 5.9428 4.8635 9.9063
H 0.6279 1.0290 5.2392
H 3.5129 10.7008 0.2908
Si -1.9681 10.1231 8.0567
Si 4.3402 3.2868 0.7902
Si 11.0271 3.5116 0.5916
Si 6.0498 11.4008 14.1379
Si 0.9425 3.3248 9.4384
Si -3.7863 4.7892 11.8068
Si -5.3658 9.7115 16.7049
Si 9.4476 8.4339 5.4897
Si 4.7188 9.8983 7.8580
Si 1.3210 9.9363 16.5062
Si 0.9695 1.8387 12.3129
Si 4.3673 4.7729 3.6647
Si 1.2940 8.4502 13.6318
Si -0.3885 1.8223 3.1585
Si 4.6918 11.3844 4.9835
Si 7.6294 3.1000 9.2398
```

Values from the calculation:
E_form: -20.9 kJ/mol of atoms
SG: P2_1/c